First-principles (PBE+U) data for a geometry-optimized MoPbO2 structure, as listed in the Materials Project.

Cell lengths 6.7427, 6.7427, 12.0451 Å; angles 90.00, 90.00, 90.00 degrees
Space group I4_1/amd (No. 141, origin choice 2)
One atom of each set of equivalent atoms:
Mo  0.0000  0.0000  0.0000 x8
Pb  0.0000  0.0000  0.5000 x8
O  0.0000  0.0421  0.7170 x16

## Properties
**Formation energy**: -1008 meV/atom



First-principles (PBE+U) data for a geometry-optimized MgCd2W2O8 structure, as listed in the Materials Project.

Cell lengths 5.2387, 6.4546, 5.4777 Å; angles 90.00, 100.49, 90.00 degrees
Space group P2 (No. 3)
One atom of each set of equivalent atoms:
Mg  0.0000  0.0000  0.0000 x1
Cd  0.0000  0.2060  0.5000 x1
Cd  0.5000  0.7516  0.5000 x1
W  0.0000  0.5409  0.0000 x1
W  0.5000  0.2528  0.0000 x1
O  0.1677  0.7630  0.2165 x2
O  0.2092  0.2850  0.1977 x2
O  0.2749  0.4874  0.8056 x2
O  0.2929  0.0451  0.7949 x2

## Properties
**Energy above the most stable polymorph in this dataset**: 0.002 eV per atom
**Formation energy**: -1991 meV/atom



First-principles (PBE+U) data for a geometry-optimized CsMgFeMo2O8 structure, as listed in the Materials Project.

Cell lengths 5.6343, 5.6422, 7.6483 Å; angles 90.55, 90.91, 119.21 degrees
Space group P1 (No. 1)
One atom of each set of equivalent atoms:
Cs  0.0000  0.0000  0.0000 x1
Mg  0.3269  0.6715  0.7383 x1
Fe  0.0048  0.0074  0.4954 x1
Mo  0.3400  0.6673  0.2466 x1
Mo  0.6569  0.3306  0.7224 x1
O  0.0929  0.7505  0.3245 x1
O  0.2603  0.3420  0.3281 x1
O  0.3176  0.0060  0.6587 x1
O  0.3315  0.6571  0.0059 x1
O  0.6574  0.6560  0.6580 x1
O  0.6587  0.2890  0.9515 x1
O  0.6694  0.9170  0.3301 x1
O  0.9869  0.3366  0.6571 x1

## Properties
**Formation energy**: -2038 meV/atom



First-principles (PBE+U) data for a geometry-optimized LiFeF4 structure, as listed in the Materials Project.

Cell lengths 5.3294, 18.3282, 7.3696 Å; angles 90.00, 91.97, 90.00 degrees
Space group P2_1/c (No. 14)
One atom of each set of equivalent atoms:
Li  0.1131  0.0539  0.3495 x4
Li  0.3663  0.6791  0.2529 x4
Fe  0.1564  0.1296  0.9943 x4
Fe  0.3498  0.6284  0.8849 x4
F  0.0807  0.6260  0.3131 x4
F  0.1087  0.6529  0.6819 x4
F  0.1453  0.5480  0.9384 x4
F  0.2469  0.7103  0.0122 x4
F  0.2560  0.0383  0.0732 x4
F  0.3510  0.2033  0.1025 x4
F  0.3873  0.1280  0.7847 x4
F  0.4212  0.1068  0.4170 x4

## Properties
**Energy above the most stable polymorph in this dataset**: 0.095 eV per atom
**Formation energy**: -2730 meV/atom



First-principles (PBE+U) data for a geometry-optimized Li16Co3O12 structure, as listed in the Materials Project.

Cell lengths 6.5378, 6.5462, 14.0286 Å; angles 90.11, 90.01, 91.19 degrees
Space group P1 (No. 1)
One atom of each set of equivalent atoms:
Li  0.0000  0.0000  0.0000 x1
Li  0.9999  0.0005  0.3353 x1
Li  0.0205  0.9789  0.1716 x1
Li  0.0305  0.0229  0.6663 x1
Li  0.2162  0.7059  0.6936 x1
Li  0.2174  0.2841  0.0145 x1
Li  0.2186  0.2772  0.3560 x1
Li  0.2235  0.7176  0.0382 x1
Li  0.2246  0.7240  0.3401 x1
Li  0.2740  0.2237  0.5295 x1
Li  0.2769  0.2268  0.8434 x1
Li  0.2823  0.2172  0.1855 x1
Li  0.2959  0.7886  0.5194 x1
Li  0.2975  0.7871  0.8635 x1
Li  0.4780  0.4724  0.7084 x1
Li  0.4792  0.5185  0.2057 x1
Li  0.4984  0.4926  0.0421 x1
Li  0.5041  0.4939  0.3742 x1
Li  0.5272  0.5217  0.5416 x1
Li  0.5277  0.5226  0.8753 x1
Li  0.7142  0.2052  0.8504 x1
Li  0.7149  0.2032  0.5152 x1
Li  0.7162  0.7789  0.1925 x1
Li  0.7254  0.2257  0.1878 x1
Li  0.7733  0.7295  0.6866 x1
Li  0.7750  0.7178  0.0141 x1
Li  0.7762  0.7289  0.3674 x1
Li  0.7881  0.2879  0.0213 x1
Li  0.7900  0.2816  0.3503 x1
Li  0.7965  0.2856  0.6811 x1
Li  0.9807  0.9717  0.8330 x1
Li  0.9811  0.9749  0.5003 x1
Co  0.0079  0.5075  0.1887 x1
Co  0.4972  0.0039  0.6871 x1
Co  0.4995  0.0030  0.0217 x1
Co  0.5012  0.0014  0.3538 x1
Co  0.9952  0.5072  0.8529 x1
Co  0.9975  0.5052  0.5218 x1
O  0.0065  0.2346  0.2561 x1
O  0.0143  0.7489  0.9267 x1
O  0.0180  0.7489  0.5933 x1
O  0.2388  0.0029  0.4259 x1
O  0.2388  0.0156  0.0794 x1
O  0.2510  0.9858  0.7600 x1
O  0.2584  0.4778  0.1138 x1
O  0.2609  0.5031  0.4574 x1
O  0.2607  0.5132  0.7988 x1
O  0.4867  0.7379  0.6323 x1
O  0.4928  0.7399  0.9642 x1
O  0.4987  0.2647  0.2844 x1
O  0.5056  0.2574  0.9478 x1
O  0.5104  0.7329  0.2961 x1
O  0.5137  0.2498  0.6169 x1
O  0.7393  0.5025  0.1158 x1
O  0.7514  0.4848  0.4523 x1
O  0.7535  0.4855  0.7822 x1
O  0.7619  0.0037  0.0867 x1
O  0.7635  0.0144  0.4159 x1
O  0.7636  0.0142  0.7428 x1
O  0.9818  0.7578  0.2632 x1
O  0.9907  0.2429  0.5786 x1
O  0.9945  0.2407  0.9159 x1

## Properties
**Formation energy**: -1914 meV/atom



First-principles (PBE+U) data for a geometry-optimized BaSr3Mn3O10 structure, as listed in the Materials Project.

Cell lengths 12.7659, 5.6122, 12.9313 Å; angles 90.00, 90.31, 90.00 degrees
Space group C2/m (No. 12)
One atom of each set of equivalent atoms:
Ba  0.0340  0.0000  0.1448 x4
Sr  0.0304  0.5000  0.3577 x4
Sr  0.2404  0.5000  0.1095 x4
Sr  0.2408  0.0000  0.3906 x4
Mn  0.0000  0.0000  0.5000 x2
Mn  0.0000  0.5000  0.0000 x2
Mn  0.1302  0.5000  0.8475 x4
Mn  0.1328  0.0000  0.6515 x4
O  0.0370  0.5000  0.1454 x4
O  0.0376  0.0000  0.3567 x4
O  0.1073  0.2272  0.5380 x8
O  0.1092  0.2769  0.9630 x8
O  0.1205  0.2530  0.7476 x8
O  0.2244  0.5000  0.3530 x4
O  0.2296  0.0000  0.1466 x4

## Properties
**Formation energy**: -2558 meV/atom



First-principles (PBE+U) data for a geometry-optimized CaCrNiP2O9 structure, as listed in the Materials Project.

Cell lengths 14.1806, 6.4614, 7.5125 Å; angles 90.00, 90.00, 90.00 degrees
Space group Pnma (No. 62)
One atom of each set of equivalent atoms:
Ca  0.2211  0.2500  0.1207 x4
Cr  0.1164  0.2500  0.6514 x4
Ni  0.0000  0.0000  0.0000 x4
P  0.0609  0.7500  0.6509 x4
P  0.1938  0.7500  0.1109 x4
O  0.0128  0.7500  0.8341 x4
O  0.0159  0.2500  0.4912 x4
O  0.0558  0.2500  0.8550 x4
O  0.1289  0.5622  0.6326 x8
O  0.1339  0.5520  0.1062 x8
O  0.2280  0.2500  0.4624 x4
O  0.2412  0.2500  0.7821 x4

## Properties
**Formation energy**: -2587 meV/atom



First-principles (PBE+U) data for a geometry-optimized La2MgFeO6 structure, as listed in the Materials Project.

Cell lengths 5.5214, 5.5304, 5.5313 Å; angles 61.39, 61.41, 61.53 degrees
Space group P-1 (No. 2)
One atom of each set of equivalent atoms:
La  0.2486  0.2491  0.2486 x2
Mg  0.5000  0.5000  0.5000 x1
Fe  0.0000  0.0000  0.0000 x1
O  0.1708  0.7611  0.3174 x2
O  0.2393  0.6822  0.8290 x2
O  0.3166  0.1702  0.7618 x2

## Properties
**Formation energy**: -2996 meV/atom



First-principles (PBE+U) data for a geometry-optimized LiV4Ge4O16 structure, as listed in the Materials Project.

Cell lengths 4.3926, 4.7305, 11.7439 Å; angles 89.48, 88.82, 89.68 degrees
Space group P1 (No. 1)
One atom of each set of equivalent atoms:
Li  0.0000  0.0000  0.0000 x1
V  0.4286  0.2941  0.9677 x1
V  0.4423  0.7508  0.1079 x1
V  0.9090  0.7571  0.6006 x1
V  0.9214  0.2621  0.4670 x1
Ge  0.4002  0.2500  0.7149 x1
Ge  0.4274  0.7664  0.3566 x1
Ge  0.9026  0.7450  0.8423 x1
Ge  0.9353  0.2666  0.2218 x1
O  0.1431  0.5900  0.7222 x1
O  0.1506  0.6122  0.9718 x1
O  0.1563  0.0955  0.3469 x1
O  0.1630  0.0847  0.5973 x1
O  0.1707  0.0963  0.8437 x1
O  0.1705  0.5881  0.4730 x1
O  0.2028  0.1131  0.1112 x1
O  0.2048  0.5989  0.2324 x1
O  0.6402  0.4286  0.8360 x1
O  0.6408  0.9199  0.9651 x1
O  0.6627  0.4326  0.5973 x1
O  0.6661  0.9292  0.2300 x1
O  0.6674  0.9355  0.4731 x1
O  0.6774  0.9263  0.7231 x1
O  0.6974  0.4307  0.3456 x1
O  0.6967  0.4351  0.1021 x1

## Properties
**Energy above the most stable polymorph in this dataset**: 0.032 eV per atom
**Formation energy**: -2118 meV/atom



First-principles (PBE+U) data for a geometry-optimized LiNiP4O12 structure, as listed in the Materials Project.

Cell lengths 9.2159, 9.4846, 10.4380 Å; angles 90.00, 90.00, 90.00 degrees
Space group P2_12_12_1 (No. 19)
One atom of each set of equivalent atoms:
Li  0.1509  0.2489  0.3284 x4
Ni  0.0011  0.7362  0.7940 x4
P  0.0013  0.5186  0.5155 x4
P  0.0031  0.9413  0.3937 x4
P  0.2013  0.9542  0.6107 x4
P  0.2059  0.4627  0.8874 x4
O  0.0000  0.1182  0.8735 x4
O  0.0079  0.3513  0.2237 x4
O  0.0076  0.3625  0.5421 x4
O  0.0209  0.0968  0.3703 x4
O  0.1261  0.5636  0.4150 x4
O  0.1303  0.0549  0.0797 x4
O  0.1334  0.8824  0.4825 x4
O  0.1399  0.4109  0.0228 x4
O  0.1507  0.1038  0.6232 x4
O  0.1587  0.3649  0.7832 x4
O  0.1783  0.8554  0.7227 x4
O  0.1800  0.6192  0.8687 x4

## Properties
**Energy above the most stable polymorph in this dataset**: 0.019 eV per atom
**Formation energy**: -2371 meV/atom